No. 1
Material: Na3TaSi3GeO12
Method: DFT, PBE
State: optimized geometry

Cell and atoms, written as POSCAR:
```
Na3TaSi3GeO12
1.0
7.724 -4.441 0.000
7.724 4.441 0.000
-0.079 0.000 22.015
Na Ta Si Ge O
18 6 18 6 72
Direct
0.001 0.999 0.500
0.036 0.303 0.414
0.299 0.665 0.414
0.303 0.036 0.914
0.326 0.704 0.081
0.332 0.334 0.833
0.334 0.332 0.333
0.367 0.633 0.747
0.371 0.992 0.248
0.633 0.367 0.247
0.655 0.686 0.667
0.665 0.299 0.914
0.686 0.655 0.167
0.700 0.967 0.081
0.704 0.326 0.581
0.967 0.700 0.581
0.992 0.371 0.748
0.999 0.001 0.000
0.000 0.996 0.852
0.327 0.337 0.185
0.337 0.327 0.685
0.664 0.668 0.518
0.668 0.664 0.018
0.996 0.000 0.352
0.048 0.622 0.077
0.053 0.320 0.578
0.288 0.715 0.245
0.291 0.992 0.746
0.320 0.053 0.078
0.326 0.625 0.578
0.381 0.658 0.911
0.385 0.959 0.410
0.622 0.048 0.577
0.625 0.326 0.078
0.658 0.381 0.411
0.663 0.954 0.912
0.715 0.288 0.745
0.719 0.986 0.243
0.954 0.663 0.412
0.959 0.385 0.910
0.986 0.719 0.743
0.992 0.291 0.246
0.005 0.997 0.642
0.330 0.336 0.975
0.336 0.330 0.475
0.666 0.669 0.808
0.669 0.666 0.308
0.997 0.005 0.142
0.022 0.155 0.585
0.028 0.814 0.084
0.031 0.806 0.801
0.033 0.169 0.306
0.134 0.365 0.637
0.136 0.500 0.137
0.149 0.490 0.417
0.150 0.815 0.584
0.154 0.355 0.917
0.155 0.022 0.085
0.164 0.525 0.740
0.166 0.298 0.517
0.169 0.033 0.806
0.170 0.801 0.305
0.172 0.300 0.241
0.179 0.532 0.020
0.191 0.976 0.407
0.192 0.838 0.907
0.201 0.838 0.185
0.201 0.953 0.688
0.288 0.539 0.518
0.298 0.166 0.017
0.300 0.172 0.741
0.317 0.517 0.242
0.355 0.154 0.417
0.364 0.500 0.638
0.365 0.134 0.137
0.369 0.482 0.918
0.465 0.699 0.971
0.473 0.827 0.468
0.480 0.816 0.752
0.482 0.369 0.418
0.482 0.693 0.250
0.490 0.149 0.917
0.497 0.857 0.074
0.497 0.869 0.348
0.500 0.136 0.637
0.500 0.364 0.138
0.504 0.621 0.851
0.505 0.634 0.574
0.517 0.317 0.742
0.525 0.164 0.240
0.532 0.179 0.520
0.539 0.288 0.018
0.620 0.864 0.854
0.621 0.504 0.351
0.634 0.505 0.074
0.648 0.852 0.574
0.689 0.821 0.251
0.693 0.482 0.750
0.694 0.838 0.973
0.699 0.465 0.471
0.801 0.170 0.805
0.806 0.031 0.301
0.814 0.028 0.584
0.815 0.150 0.084
0.816 0.480 0.252
0.821 0.689 0.751
0.827 0.473 0.968
0.832 0.981 0.908
0.833 0.962 0.182
0.838 0.192 0.407
0.838 0.201 0.685
0.838 0.694 0.473
0.852 0.648 0.074
0.857 0.497 0.574
0.864 0.620 0.354
0.869 0.497 0.848
0.953 0.201 0.188
0.962 0.833 0.682
0.976 0.191 0.907
0.981 0.832 0.408
```

Computed properties:
Corrected total energy (MP2020 scheme) in eV/cell: -917.46
Total DFT energy (no corrections) in eV per atom: -7.233

No. 2
Material: Na5Ta3Si6GeO24
Method: DFT, PBE
State: optimized geometry

Cell and atoms, written as POSCAR:
```
Na5Ta3Si6GeO24
1.0
8.919 0.000 0.000
4.453 7.753 0.000
0.056 0.099 22.303
Na Ta Si Ge O
15 9 18 3 72
Direct
0.000 0.000 0.000
0.001 0.632 0.746
0.007 0.365 0.245
0.013 0.991 0.495
0.031 0.672 0.411
0.302 0.666 0.918
0.334 0.334 0.327
0.346 0.324 0.831
0.362 0.006 0.746
0.632 0.001 0.246
0.653 0.677 0.164
0.655 0.666 0.664
0.668 0.298 0.412
0.698 0.334 0.085
0.967 0.333 0.584
0.000 0.996 0.642
0.007 0.994 0.144
0.332 0.329 0.978
0.335 0.331 0.478
0.662 0.670 0.521
0.664 0.666 0.309
0.667 0.664 0.810
0.668 0.670 0.024
0.995 0.004 0.854
0.003 0.290 0.746
0.013 0.708 0.252
0.051 0.335 0.087
0.052 0.616 0.584
0.283 0.004 0.251
0.290 0.703 0.748
0.331 0.614 0.084
0.340 0.047 0.587
0.369 0.679 0.415
0.380 0.956 0.915
0.612 0.050 0.087
0.613 0.335 0.585
0.670 0.956 0.414
0.672 0.375 0.918
0.702 0.012 0.748
0.709 0.284 0.250
0.955 0.667 0.915
0.957 0.369 0.415
0.002 0.000 0.352
0.334 0.335 0.188
0.337 0.333 0.687
0.022 0.167 0.089
0.032 0.807 0.589
0.035 0.797 0.313
0.036 0.159 0.803
0.133 0.493 0.643
0.135 0.362 0.148
0.145 0.360 0.421
0.148 0.498 0.920
0.153 0.044 0.308
0.160 0.807 0.089
0.162 0.033 0.588
0.165 0.529 0.523
0.167 0.310 0.027
0.170 0.793 0.808
0.176 0.308 0.744
0.177 0.514 0.244
0.178 0.845 0.409
0.193 0.966 0.909
0.195 0.837 0.692
0.195 0.973 0.192
0.299 0.518 0.742
0.306 0.533 0.022
0.307 0.172 0.528
0.307 0.175 0.246
0.355 0.502 0.421
0.361 0.145 0.921
0.364 0.131 0.647
0.374 0.485 0.141
0.469 0.698 0.474
0.474 0.827 0.972
0.479 0.693 0.753
0.479 0.834 0.255
0.492 0.366 0.642
0.494 0.866 0.854
0.495 0.364 0.921
0.501 0.131 0.148
0.502 0.149 0.421
0.502 0.637 0.358
0.506 0.634 0.078
0.509 0.856 0.578
0.510 0.177 0.744
0.519 0.301 0.244
0.524 0.174 0.028
0.531 0.309 0.523
0.635 0.858 0.079
0.641 0.504 0.861
0.642 0.866 0.354
0.644 0.502 0.578
0.687 0.834 0.753
0.695 0.464 0.979
0.699 0.473 0.256
0.702 0.826 0.471
0.795 0.161 0.310
0.803 0.030 0.806
0.803 0.036 0.091
0.810 0.166 0.589
0.832 0.200 0.191
0.834 0.484 0.753
0.834 0.690 0.973
0.834 0.971 0.691
0.835 0.462 0.474
0.835 0.690 0.255
0.842 0.187 0.910
0.844 0.973 0.409
0.854 0.504 0.080
0.861 0.630 0.576
0.865 0.644 0.855
0.867 0.497 0.357
0.965 0.185 0.408
0.968 0.839 0.195
0.973 0.202 0.687
0.980 0.836 0.911
```

Computed properties:
Corrected total energy (MP2020 scheme) in eV/cell: -944.89
Total DFT energy (no corrections) in eV per atom: -7.653

No. 3
Material: Na7TaSi6Ge3O24
Method: DFT, PBE
State: optimized geometry

Cell and atoms, written as POSCAR:
```
Na7TaSi6Ge3O24
1.0
8.838 0.000 0.000
4.413 7.662 0.000
0.023 0.047 21.921
Na Ta Si Ge O
21 3 18 9 72
Direct
0.000 0.000 0.000
0.000 0.372 0.500
0.028 0.306 0.167
0.032 0.038 0.666
0.033 0.664 0.919
0.033 0.676 0.413
0.067 0.336 0.833
0.331 0.705 0.833
0.332 0.335 0.331
0.359 0.003 0.252
0.362 0.639 0.500
0.366 0.003 0.749
0.399 0.667 0.167
0.401 0.301 0.666
0.664 0.670 0.666
0.668 0.038 0.166
0.693 0.343 0.083
0.699 0.337 0.585
0.699 0.969 0.833
0.701 0.704 0.331
0.734 0.999 0.500
0.366 0.003 0.103
0.696 0.340 0.938
0.699 0.336 0.435
0.027 0.955 0.167
0.032 0.383 0.666
0.081 0.300 0.997
0.085 0.999 0.500
0.316 0.391 0.167
0.319 0.670 0.665
0.361 0.289 0.500
0.361 0.715 0.998
0.402 0.634 0.330
0.407 0.337 0.830
0.651 0.723 0.500
0.658 0.995 0.997
0.699 0.628 0.830
0.704 0.042 0.330
0.745 0.957 0.665
0.753 0.665 0.167
0.991 0.045 0.830
0.994 0.332 0.329
0.032 0.670 0.563
0.032 0.670 0.768
0.033 0.666 0.061
0.033 0.672 0.269
0.363 0.003 0.395
0.365 0.003 0.603
0.365 0.004 0.897
0.699 0.337 0.229
0.699 0.337 0.729
0.007 0.511 0.326
0.007 0.852 0.824
0.060 0.827 0.506
0.061 0.489 0.005
0.074 0.467 0.725
0.076 0.824 0.225
0.163 0.045 0.561
0.164 0.171 0.058
0.184 0.027 0.837
0.185 0.704 0.005
0.188 0.162 0.338
0.189 0.486 0.505
0.193 0.466 0.228
0.194 0.712 0.725
0.198 0.206 0.937
0.201 0.979 0.161
0.208 0.188 0.660
0.210 0.959 0.441
0.214 0.513 0.824
0.216 0.638 0.326
0.232 0.515 0.108
0.236 0.628 0.605
0.325 0.206 0.439
0.325 0.840 0.938
0.339 0.845 0.660
0.340 0.193 0.161
0.389 0.162 0.837
0.396 0.803 0.059
0.397 0.819 0.339
0.407 0.164 0.560
0.495 0.505 0.390
0.498 0.377 0.888
0.515 0.364 0.173
0.515 0.495 0.671
0.524 0.820 0.837
0.525 0.029 0.338
0.526 0.802 0.560
0.535 0.312 0.494
0.535 0.542 0.272
0.536 0.034 0.058
0.536 0.294 0.770
0.537 0.523 0.993
0.550 0.977 0.659
0.555 0.839 0.161
0.567 0.968 0.937
0.569 0.843 0.439
0.657 0.542 0.770
0.658 0.175 0.272
0.673 0.526 0.494
0.680 0.169 0.992
0.725 0.153 0.671
0.725 0.494 0.172
0.732 0.134 0.391
0.740 0.497 0.888
0.829 0.711 0.227
0.829 0.831 0.725
0.848 0.698 0.506
0.852 0.828 0.005
0.855 0.153 0.172
0.857 0.363 0.671
0.865 0.131 0.890
0.867 0.372 0.390
0.870 0.874 0.605
0.874 0.848 0.326
0.876 0.627 0.108
0.876 0.645 0.824
0.888 0.173 0.494
0.891 0.306 0.992
0.901 0.301 0.270
0.904 0.174 0.771
0.989 0.876 0.105
0.991 0.508 0.605
```

Computed properties:
Corrected total energy (MP2020 scheme) in eV/cell: -891.40
Total DFT energy (no corrections) in eV per atom: -6.845

No. 4
Material: Na3TaSi3GeO12
Method: DFT, PBE
State: optimized geometry

Cell and atoms, written as POSCAR:
```
Na3TaSi3GeO12
1.0
-13.682 7.088 -1.702
-1.048 -3.916 -7.884
1.182 -7.991 3.812
Na Ta Si Ge O
12 4 12 4 48
Direct
0.249 0.724 0.992
0.749 0.776 0.492
0.749 0.224 0.992
0.249 0.276 0.492
0.497 0.118 0.744
0.497 0.882 0.244
0.997 0.618 0.744
0.997 0.382 0.244
0.193 0.947 0.279
0.193 0.053 0.779
0.693 0.447 0.279
0.693 0.553 0.779
0.892 0.754 0.929
0.892 0.246 0.429
0.392 0.254 0.929
0.392 0.746 0.429
0.005 0.962 0.758
0.005 0.038 0.258
0.505 0.462 0.758
0.505 0.538 0.258
0.354 0.879 0.759
0.640 0.898 0.748
0.640 0.102 0.248
0.354 0.121 0.259
0.854 0.379 0.759
0.140 0.398 0.748
0.140 0.602 0.248
0.854 0.621 0.259
0.105 0.748 0.566
0.105 0.252 0.066
0.605 0.248 0.566
0.605 0.752 0.066
0.143 0.581 0.734
0.847 0.567 0.766
0.847 0.433 0.266
0.143 0.419 0.234
0.643 0.081 0.734
0.347 0.067 0.766
0.347 0.933 0.266
0.643 0.919 0.234
0.437 0.570 0.578
0.579 0.564 0.941
0.579 0.436 0.441
0.437 0.430 0.078
0.937 0.070 0.578
0.079 0.064 0.941
0.079 0.936 0.441
0.937 0.930 0.078
0.251 0.811 0.740
0.739 0.814 0.762
0.739 0.186 0.262
0.251 0.189 0.240
0.751 0.311 0.740
0.239 0.314 0.762
0.239 0.686 0.262
0.751 0.689 0.240
0.355 0.854 0.577
0.634 0.861 0.921
0.634 0.139 0.421
0.355 0.146 0.077
0.855 0.354 0.577
0.134 0.361 0.921
0.134 0.639 0.421
0.855 0.646 0.077
0.462 0.815 0.943
0.534 0.831 0.560
0.534 0.169 0.060
0.462 0.185 0.443
0.962 0.315 0.943
0.034 0.331 0.560
0.034 0.669 0.060
0.962 0.685 0.443
0.086 0.854 0.744
0.919 0.851 0.757
0.919 0.149 0.257
0.086 0.146 0.244
0.586 0.354 0.744
0.419 0.351 0.757
0.419 0.649 0.257
0.586 0.646 0.244
```

Computed properties:
Corrected total energy (MP2020 scheme) in eV/cell: -611.74
Total DFT energy (no corrections) in eV per atom: -7.235